Entry from the Materials Project: crystalline KH8WN2O3F3 at its relaxed geometry (PBE+U).

```
18
Lattice="0.000 4.615 4.622 4.485 0.000 4.622 4.485 4.615 0.000" Properties=species:S:1:pos:R:3 pbc="T T T"
K 0.000 0.000 0.000
H 2.888 1.758 1.679
H 1.656 1.697 2.870
H 2.829 2.918 2.870
H 1.597 2.857 1.679
H 7.373 7.472 6.301
H 7.313 6.312 7.492
H 6.081 6.374 6.301
H 6.141 7.533 7.492
W 4.485 4.615 4.508
N 2.242 2.308 2.276
N 6.727 6.923 6.898
O 4.485 4.615 2.691
O 4.485 2.779 4.841
O 4.485 6.451 4.841
F 6.478 4.615 4.618
F 4.485 4.615 6.653
F 2.491 4.615 4.618
```

E = -5.33 eV/atom
Total magnetic moment = 0.000 μB per atom
E above lowest polymorph = 27 meV per atom
SG = Fmm2



Entry from the Materials Project: crystalline KH8WN2F6 at its relaxed geometry (PBE+U).

```
18
Lattice="0.000 4.666 4.666 4.666 0.000 4.666 4.666 4.666 0.000" Properties=species:S:1:pos:R:3 pbc="T T T"
K 0.000 0.000 0.000
H 2.929 1.737 1.737
H 1.737 2.929 1.737
H 1.737 1.737 2.929
H 2.929 2.929 2.929
H 6.403 6.403 6.403
H 7.595 7.595 6.403
H 7.595 6.403 7.595
H 6.403 7.595 7.595
W 4.666 4.666 4.666
N 2.333 2.333 2.333
N 6.999 6.999 6.999
F 4.666 4.666 2.563
F 4.666 2.563 4.666
F 6.770 4.666 4.666
F 2.563 4.666 4.666
F 4.666 6.770 4.666
F 4.666 4.666 6.770
```

E = -5.00 eV/atom
Total magnetic moment = 0.167 μB per atom
E above lowest polymorph = 54 meV per atom
SG = Fm-3m



Entry from the Materials Project: crystalline KH8WN2F6 at its relaxed geometry (PBE+U).

```
36
Lattice="6.487 0.000 0.000 0.000 6.447 0.000 -6.391 0.000 9.516" Properties=species:S:1:pos:R:3 pbc="T T T"
K 0.000 0.000 0.000
K -3.196 3.224 4.758
H -4.168 0.188 6.956
H -0.972 3.036 2.198
H -2.641 0.252 6.213
H 0.554 2.972 1.456
H 0.086 4.298 2.444
H -3.110 5.373 7.202
H -2.776 0.457 7.907
H 0.420 2.766 3.149
H -0.324 3.681 6.366
H 2.871 5.990 1.609
H 3.205 1.075 2.314
H 0.009 2.149 7.071
H -0.459 3.475 8.060
H 2.737 6.196 3.302
H 1.068 3.411 7.318
H 4.263 6.260 2.560
W 0.048 0.000 4.758
W 3.243 3.224 0.000
N 0.030 3.273 2.312
N -3.166 6.398 7.070
N 3.261 0.049 2.446
N 0.066 3.174 7.204
F -3.531 3.599 7.448
F -0.335 6.072 2.690
F -1.820 0.981 4.954
F 1.376 2.243 0.197
F -0.953 4.619 5.164
F 2.243 5.052 0.406
F -2.148 1.395 9.110
F 1.048 1.829 4.352
F -1.281 4.205 9.319
F 1.915 5.466 4.561
F 0.431 0.376 6.826
F 3.627 2.848 2.068
```

E = -5.06 eV/atom
Total magnetic moment = 0.167 μB per atom
E above lowest polymorph = 0 meV per atom
SG = P2_1/c



Entry from the Materials Project: crystalline K2Zr2NiH12O6F12 at its relaxed geometry (PBE+U).

```
70
Lattice="6.688 0.000 0.000 0.000 10.098 0.000 -5.390 0.000 11.934" Properties=species:S:1:pos:R:3 pbc="T T T"
K 0.277 2.179 1.011
K -2.418 2.870 6.978
K 3.715 7.228 4.956
K 1.020 7.919 10.923
Zr -2.493 0.146 10.148
Zr 0.202 4.903 4.181
Zr 1.096 5.195 7.753
Zr 3.791 9.952 1.786
Ni 0.649 0.000 5.967
Ni 3.344 5.049 0.000
H -1.516 0.638 4.657
H -4.211 4.411 10.624
H -0.496 1.847 4.554
H -3.191 3.202 10.521
H 1.188 5.792 1.236
H -1.507 9.355 7.203
H -2.520 6.922 9.983
H 0.175 8.225 4.016
H -1.681 5.708 9.347
H 1.014 9.439 3.380
H 2.233 6.999 1.264
H -0.462 8.148 7.231
H 1.760 1.950 4.703
H -0.935 3.099 10.670
H 0.284 0.659 8.554
H 2.979 4.390 2.587
H 1.123 1.873 7.918
H 3.818 3.176 1.951
H 2.805 0.743 4.731
H 0.110 4.306 10.698
H 4.489 6.896 1.413
H 1.794 8.251 7.381
H 5.509 5.687 1.310
H 2.814 9.460 7.277
O -0.874 1.188 5.184
O -3.569 3.861 11.151
O 1.819 6.320 0.679
O -0.876 8.827 6.646
O -1.912 6.170 10.187
O 0.783 8.977 4.220
O 0.515 1.121 7.714
O 3.210 3.928 1.747
O 2.174 1.271 5.288
O -0.521 3.778 11.255
O 4.866 6.237 0.783
O 2.171 8.910 6.750
F -4.342 0.706 10.712
F -1.647 4.342 4.745
F -2.689 0.255 8.025
F 0.006 4.794 2.058
F -0.609 6.721 3.635
F -3.304 8.425 9.602
F -2.096 2.160 9.687
F 0.599 2.889 3.720
F 1.840 0.338 2.175
F -0.855 4.711 8.142
F 0.390 6.197 5.917
F -2.305 8.950 11.884
F 3.602 1.148 0.050
F 0.907 3.901 6.017
F 2.153 5.387 3.792
F -0.542 9.760 9.759
F 0.698 7.209 8.214
F 3.393 7.938 2.247
F 4.602 1.672 2.332
F 1.907 3.376 8.299
F 1.292 5.304 9.876
F 3.987 9.842 3.909
F 2.944 5.755 7.189
F 5.639 9.391 1.222
```

E = -5.42 eV/atom
Total magnetic moment = 0.057 μB per atom
SG = P2_1/c



Entry from the Materials Project: crystalline LiMnH2OF4 at its relaxed geometry (PBE+U).

```
36
Lattice="5.434 0.000 0.000 0.000 12.491 0.000 0.000 0.000 5.515" Properties=species:S:1:pos:R:3 pbc="T T T"
Li 1.184 3.123 1.293
Li 1.533 9.368 4.051
Li 3.901 3.123 1.464
Li 4.250 9.368 4.222
Mn 0.000 0.000 2.758
Mn 0.000 6.246 2.758
Mn 2.717 0.000 0.000
Mn 2.717 6.246 0.000
H 0.463 8.580 0.727
H 0.463 10.156 0.727
H 2.254 2.335 3.484
H 2.254 3.911 3.484
H 3.179 8.580 2.031
H 3.179 10.156 2.031
H 4.971 2.335 4.789
H 4.971 3.911 4.789
O 0.215 9.368 0.203
O 2.502 3.123 2.961
O 2.932 9.368 2.554
O 5.219 3.123 5.312
F 0.176 8.009 3.344
F 0.176 10.727 3.344
F 1.189 6.777 1.017
F 1.189 11.960 1.017
F 1.528 0.531 3.774
F 1.528 5.714 3.774
F 2.541 1.764 0.587
F 2.541 4.482 0.587
F 2.893 8.009 4.929
F 2.893 10.727 4.929
F 3.906 6.777 1.741
F 3.906 11.960 1.741
F 4.245 0.531 4.499
F 4.245 5.714 4.499
F 5.258 1.764 2.171
F 5.258 4.482 2.171
```

E = -5.29 eV/atom
Total magnetic moment = 0.444 μB per atom
SG = Pnma



Entry from the Materials Project: crystalline LiV2H4O2F10 at its relaxed geometry (PBE+U).

```
19
Lattice="5.676 0.000 0.000 1.976 5.547 0.000 0.577 0.315 7.631" Properties=species:S:1:pos:R:3 pbc="T T T"
Li 0.000 0.000 0.000
V 4.967 5.313 6.022
V 6.520 2.672 2.187
H 4.630 4.468 1.435
H 5.265 4.825 2.983
H 5.988 2.898 5.325
H 6.834 3.410 6.579
O 5.234 4.183 2.207
O 5.987 3.507 6.096
F 1.422 3.385 0.582
F 1.955 3.745 3.054
F 1.965 1.300 6.113
F 1.991 1.336 2.138
F 3.559 4.316 5.552
F 3.772 4.784 0.257
F 5.485 5.612 4.248
F 4.552 0.467 6.718
F 5.317 1.676 1.227
F 5.773 2.160 3.742
```

E = -5.23 eV/atom
Total magnetic moment = 0.053 μB per atom
SG = P1



Entry from the Materials Project: crystalline Li2VH2OF5 at its relaxed geometry (PBE+U).

```
44
Lattice="4.784 3.169 0.074 -5.543 3.170 7.764 4.025 -3.167 7.909" Properties=species:S:1:pos:R:3 pbc="T T T"
F 2.511 1.735 12.016
F 0.752 1.438 3.732
F -1.893 1.436 8.025
F 5.985 1.721 5.026
F -0.950 3.330 9.794
F 3.273 1.732 4.179
F 0.822 1.451 8.871
F 1.581 1.449 1.036
F 2.443 1.721 6.875
F 3.834 0.159 9.868
F -0.573 3.011 5.880
F 2.893 -1.731 8.098
F 0.374 4.902 7.650
F 4.214 -0.157 5.950
F 1.200 4.890 4.953
F 5.157 1.733 7.722
F -2.719 1.450 10.723
F 2.065 -1.719 10.795
F -0.006 1.440 11.568
F 1.684 1.723 14.714
Li 1.821 3.233 3.972
Li 1.441 3.105 7.888
Li -2.959 3.235 7.787
Li 1.444 -0.064 11.777
Li 2.204 -0.064 3.939
Li 1.062 3.236 11.807
Li 6.225 -0.064 7.961
Li 1.824 0.067 7.859
H 4.242 2.055 9.166
H -0.973 1.116 6.582
H -0.165 1.116 5.173
H 3.809 -2.051 6.654
H -0.544 5.224 9.092
H -0.923 1.118 13.010
H 3.430 2.054 10.573
H 4.190 2.053 2.737
V 4.214 1.720 5.951
V 3.454 1.722 13.788
V -0.190 1.450 1.960
V -0.949 1.452 9.796
O 4.596 2.622 2.033
O 3.838 2.623 9.871
O -1.329 0.550 13.714
O -0.570 0.548 5.877
```

E = -5.31 eV/atom
Total magnetic moment = 0.000 μB per atom
E above lowest polymorph = 0 meV per atom



Entry from the Materials Project: crystalline Li2VH2OF5 at its relaxed geometry (PBE+U).

```
22
Lattice="5.786 0.000 0.000 2.193 5.384 0.000 0.643 0.347 7.816" Properties=species:S:1:pos:R:3 pbc="T T T"
Li 0.000 0.000 0.000
Li 0.475 0.560 3.653
Li 4.660 3.762 7.116
Li 4.682 2.925 3.256
V 3.108 0.227 1.693
V 7.291 3.291 5.571
H 5.405 5.164 4.909
H 6.127 5.643 6.277
H 6.308 3.155 1.013
H 7.039 3.646 2.399
O 5.895 4.854 5.711
O 6.273 3.788 1.780
F 2.072 4.088 3.876
F 2.932 4.349 6.525
F 2.058 1.769 1.822
F 2.640 1.815 5.514
F 3.773 4.632 0.790
F 4.557 4.977 3.440
F 4.587 0.856 7.768
F 4.703 1.140 2.506
F 5.877 2.248 4.574
F 6.434 2.850 7.316
```

E = -5.31 eV/atom
Total magnetic moment = 0.182 μB per atom
E above lowest polymorph = 5 meV per atom
SG = P1



no.,formation enthalpy at 0 K (eV per atom),V (Å³ per cell)
1,-1.405,191
2,-1.549,203
3,-1.603,398
4,-2.388,806
5,-2.375,374
6,-2.424,240
7,-2.629,476
8,-2.623,243